First-principles (GGA-PBE) data for crystalline Ba3CaTa2O9 at its relaxed geometry, as listed in the Materials Project.

It has space group P-3m1 (No. 164), with a = 5.9733 Å, b = 5.9733 Å, c = 7.3680 Å, α = 90.00°, β = 90.00° and γ = 120.00°. The inequivalent atoms are Ba at (0.0000, 0.0000, 0.0000), Ba at (0.3333, 0.6667, 0.6677), Ca at (0.0000, 0.0000, 0.5000), Ta at (0.3333, 0.6667, 0.1683), O at (0.0000, 0.5000, 0.0000) and O at (0.1772, 0.3545, 0.3132).

First-principles (GGA-PBE) data for crystalline Ba3H at its relaxed geometry, as listed in the Materials Project.

It has space group P6_3/mmc (No. 194), with a = 8.2131 Å, b = 8.2131 Å, c = 6.8517 Å, α = 90.00°, β = 90.00° and γ = 120.00°. The inequivalent atoms are Ba at (0.1687, 0.3375, 0.2500) and H at (0.3333, 0.6667, 0.7500).

no.,E (eV/cell)
1,-121.64
2,-14.42